# Li9Mn2Co5O16 | the Materials Project | PBE with a Hubbard U | optimized geometry
# - Polymorph energy (0 for the lowest one): 81.9 meV/atom
# - Space-group type: Pm
# - Energy relative to the elements: -1782.2 meV/atom
# - Crystal system: monoclinic
# - Calculated total energy: -5.77 eV/atom
data_Li9Mn2Co5O16
_chemical_formula_sum 'Li9 Mn2 Co5 O16'
_space_group_name_H-M_alt 'P 1'
_space_group_IT_number 1
_cell_length_a 9.8057
_cell_length_b 2.9029
_cell_length_c 10.4023
_cell_angle_alpha 90.00
_cell_angle_beta 98.90
_cell_angle_gamma 90.00
loop_
_space_group_symop_operation_xyz
'x,y,z'
loop_
_atom_site_label
_atom_site_type_symbol
_atom_site_fract_x
_atom_site_fract_y
_atom_site_fract_z
Li1 Li 0.0000 0.0000 0.0000
Li2 Li 0.0007 0.0000 0.4912
Li3 Li 0.2582 0.5000 0.6142
Li4 Li 0.2596 0.5000 0.1360
Li5 Li 0.5039 0.5000 0.4954
Li6 Li 0.5049 0.0000 0.7326
Li7 Li 0.5100 0.0000 0.2576
Li8 Li 0.7445 0.5000 0.8663
Li9 Li 0.7514 0.5000 0.3650
Mn1 Mn 0.2573 0.0000 0.8713
Mn2 Mn 0.9975 0.5000 0.7419
Co1 Co 0.0108 0.5000 0.2430
Co2 Co 0.2702 0.0000 0.3892
Co3 Co 0.5080 0.5000 0.0036
Co4 Co 0.7328 0.0000 0.6012
Co5 Co 0.7578 0.0000 0.1225
O1 O 0.1074 0.0000 0.6841
O2 O 0.1208 0.0000 0.1829
O3 O 0.1317 0.5000 0.9111
O4 O 0.1391 0.5000 0.4204
O5 O 0.3663 0.5000 0.3168
O6 O 0.3687 0.0000 0.5515
O7 O 0.3706 0.5000 0.8169
O8 O 0.3895 0.0000 0.0576
O9 O 0.6235 0.0000 0.9443
O10 O 0.6378 0.5000 0.1777
O11 O 0.6402 0.0000 0.4396
O12 O 0.6398 0.5000 0.6806
O13 O 0.8730 0.5000 0.0647
O14 O 0.8787 0.5000 0.5787
O15 O 0.8893 0.0000 0.3000
O16 O 0.8959 0.0000 0.8058

---

# MgMn6O8F4 | the Materials Project | PBE with a Hubbard U | optimized geometry
# - Polymorph energy (0 for the lowest one): 13.6 meV/atom
# - Space-group type: P1
# - Energy relative to the elements: -2299.7 meV/atom
# - Crystal system: triclinic
# - Calculated total energy: -6.85 eV/atom
data_MgMn6O8F4
_chemical_formula_sum 'Mg1 Mn6 O8 F4'
_space_group_name_H-M_alt 'P 1'
_space_group_IT_number 1
_cell_length_a 5.6842
_cell_length_b 5.8986
_cell_length_c 7.8465
_cell_angle_alpha 107.90
_cell_angle_beta 96.54
_cell_angle_gamma 112.46
loop_
_space_group_symop_operation_xyz
'x,y,z'
loop_
_atom_site_label
_atom_site_type_symbol
_atom_site_fract_x
_atom_site_fract_y
_atom_site_fract_z
Mg1 Mg 0.0000 0.0000 0.0000
Mn1 Mn 0.0075 0.5112 0.0076
Mn2 Mn 0.0518 0.0280 0.4978
Mn3 Mn 0.3143 0.5608 0.3681
Mn4 Mn 0.3812 0.9835 0.8135
Mn5 Mn 0.6233 0.0819 0.2305
Mn6 Mn 0.7105 0.4667 0.6487
O1 O 0.0542 0.6896 0.8285
O2 O 0.2637 0.8467 0.5485
O3 O 0.3518 0.3158 0.4841
O4 O 0.3607 0.7228 0.1890
O5 O 0.4029 0.1366 0.0722
O6 O 0.6629 0.3125 0.8331
O7 O 0.8233 0.1923 0.4738
O8 O 0.9544 0.3049 0.1675
F1 F 0.0946 0.1686 0.8081
F2 F 0.6269 0.8022 0.8495
F3 F 0.7414 0.6974 0.4876
F4 F 0.9182 0.8311 0.1846

---

# CaVP2O7 | the Materials Project | PBE with a Hubbard U | optimized geometry
# - Polymorph energy (0 for the lowest one): 31.2 meV/atom
# - Energy relative to the elements: -2880.9 meV/atom
# - Calculated total energy: -7.43 eV/atom
data_CaVP2O7
_chemical_formula_sum 'Ca4 V4 P8 O28'
_space_group_name_H-M_alt 'P 1'
_space_group_IT_number 1
_cell_length_a 6.3160
_cell_length_b 12.5420
_cell_length_c 7.1493
_cell_angle_alpha 83.55
_cell_angle_beta 88.62
_cell_angle_gamma 96.16
loop_
_space_group_symop_operation_xyz
'x,y,z'
loop_
_atom_site_label
_atom_site_type_symbol
_atom_site_fract_x
_atom_site_fract_y
_atom_site_fract_z
O1 O 0.8085 0.9141 0.5374
O2 O 0.5436 0.6338 0.0846
O3 O 0.9564 0.8662 0.9154
O4 O 0.9490 0.2885 0.8505
O5 O 0.1553 0.9071 0.2124
O6 O 0.3085 0.4142 0.5374
O7 O 0.0510 0.7115 0.1495
O8 O 0.0445 0.6849 0.5523
O9 O 0.7678 0.8252 0.2316
O10 O 0.5510 0.2115 0.1495
O11 O 0.4565 0.3662 0.9154
O12 O 0.6553 0.4071 0.2124
O13 O 0.1914 0.0859 0.4626
O14 O 0.9555 0.3151 0.4477
O15 O 0.8447 0.0929 0.7876
O16 O 0.8925 0.5021 0.7289
O17 O 0.3924 0.0022 0.7289
O18 O 0.2322 0.1748 0.7684
O19 O 0.0436 0.1338 0.0846
O20 O 0.4490 0.7885 0.8505
O21 O 0.5445 0.1849 0.5523
O22 O 0.6915 0.5858 0.4626
O23 O 0.7322 0.6747 0.7685
O24 O 0.4555 0.8151 0.4477
O25 O 0.3447 0.5929 0.7876
O26 O 0.2678 0.3253 0.2315
O27 O 0.1075 0.4979 0.2711
O28 O 0.6076 0.9978 0.2711
P1 P 0.4994 0.6709 0.8781
P2 P 0.3456 0.1103 0.6208
P3 P 0.1544 0.3898 0.3792
P4 P 0.9994 0.1709 0.8781
P5 P 0.5006 0.3291 0.1219
P6 P 0.6544 0.8897 0.3792
P7 P 0.0006 0.8291 0.1219
P8 P 0.8456 0.6102 0.6208
V1 V 0.3223 0.0659 0.1872
V2 V 0.1778 0.4341 0.8129
V3 V 0.8222 0.5659 0.1871
V4 V 0.6777 0.9341 0.8128
Ca1 Ca 0.1596 0.8553 0.6355
Ca2 Ca 0.6596 0.3553 0.6354
Ca3 Ca 0.8404 0.1447 0.3645
Ca4 Ca 0.3404 0.6447 0.3646

---

# Li3Mn2O5 | the Materials Project | PBE with a Hubbard U | optimized geometry
# - Polymorph energy (0 for the lowest one): 42.3 meV/atom
# - Space-group type: C2/m
# - Energy relative to the elements: -2108.0 meV/atom
# - Crystal system: monoclinic
# - Calculated total energy: -6.31 eV/atom
data_Li3Mn2O5
_chemical_formula_sum 'Li6 Mn4 O10'
_space_group_name_H-M_alt 'P 1'
_space_group_IT_number 1
_cell_length_a 7.8980
_cell_length_b 7.8980
_cell_length_c 8.1356
_cell_angle_alpha 104.67
_cell_angle_beta 104.67
_cell_angle_gamma 21.73
loop_
_space_group_symop_operation_xyz
'x,y,z'
loop_
_atom_site_label
_atom_site_type_symbol
_atom_site_fract_x
_atom_site_fract_y
_atom_site_fract_z
Li1 Li 0.0000 0.0000 0.0000
Li2 Li 0.0000 0.0000 0.5000
Li3 Li 0.1911 0.1911 0.0977
Li4 Li 0.4010 0.4010 0.7152
Li5 Li 0.5990 0.5990 0.2848
Li6 Li 0.8089 0.8089 0.9023
Mn1 Mn 0.1967 0.1967 0.5962
Mn2 Mn 0.4038 0.4038 0.1942
Mn3 Mn 0.5962 0.5962 0.8058
Mn4 Mn 0.8033 0.8033 0.4038
O1 O 0.0125 0.0125 0.7582
O2 O 0.1880 0.1880 0.8317
O3 O 0.2013 0.2013 0.3622
O4 O 0.3963 0.3963 0.9659
O5 O 0.3984 0.3984 0.4375
O6 O 0.6016 0.6016 0.5625
O7 O 0.6037 0.6037 0.0341
O8 O 0.7987 0.7987 0.6378
O9 O 0.8120 0.8120 0.1683
O10 O 0.9875 0.9875 0.2418

---

# BaMnO3 | the Materials Project | PBE with a Hubbard U | optimized geometry
# - Space-group type: R-3m
# - Energy relative to the elements: -2467.7 meV/atom
# - Crystal system: trigonal
# - Calculated total energy: -6.91 eV/atom
data_BaMnO3
_chemical_formula_sum 'Ba5 Mn5 O15'
_space_group_name_H-M_alt 'P 1'
_space_group_IT_number 1
_cell_length_a 12.5683
_cell_length_b 12.5683
_cell_length_c 12.5683
_cell_angle_alpha 26.51
_cell_angle_beta 26.51
_cell_angle_gamma 26.51
loop_
_space_group_symop_operation_xyz
'x,y,z'
loop_
_atom_site_label
_atom_site_type_symbol
_atom_site_fract_x
_atom_site_fract_y
_atom_site_fract_z
Ba1 Ba 0.0000 0.0000 0.0000
Ba2 Ba 0.1340 0.1340 0.1340
Ba3 Ba 0.2654 0.2654 0.2654
Ba4 Ba 0.7346 0.7346 0.7346
Ba5 Ba 0.8660 0.8660 0.8660
Mn1 Mn 0.3615 0.3615 0.3615
Mn2 Mn 0.4313 0.4313 0.4313
Mn3 Mn 0.5000 0.5000 0.5000
Mn4 Mn 0.5687 0.5687 0.5687
Mn5 Mn 0.6385 0.6385 0.6385
O1 O 0.0000 0.5000 0.5000
O2 O 0.1682 0.6151 0.6151
O3 O 0.2506 0.2506 0.6917
O4 O 0.2506 0.6917 0.2506
O5 O 0.3083 0.7494 0.7494
O6 O 0.3849 0.3849 0.8318
O7 O 0.3849 0.8318 0.3849
O8 O 0.5000 0.0000 0.5000
O9 O 0.5000 0.5000 0.0000
O10 O 0.6151 0.1682 0.6151
O11 O 0.6151 0.6151 0.1682
O12 O 0.6917 0.2506 0.2506
O13 O 0.7494 0.3083 0.7494
O14 O 0.7494 0.7494 0.3083
O15 O 0.8318 0.3849 0.3849

---

# Mg14CoBiO16 | the Materials Project | PBE with a Hubbard U | optimized geometry
# - Polymorph energy (0 for the lowest one): 0.0 meV/atom
# - Space-group type: P4/mmm
# - Energy relative to the elements: -2703.0 meV/atom
# - Crystal system: tetragonal
# - Calculated total energy: -5.83 eV/atom
data_Mg14CoBiO16
_chemical_formula_sum 'Mg14 Co1 Bi1 O16'
_space_group_name_H-M_alt 'P 1'
_space_group_IT_number 1
_cell_length_a 8.7041
_cell_length_b 8.7041
_cell_length_c 4.3767
_cell_angle_alpha 90.00
_cell_angle_beta 90.00
_cell_angle_gamma 90.00
loop_
_space_group_symop_operation_xyz
'x,y,z'
loop_
_atom_site_label
_atom_site_type_symbol
_atom_site_fract_x
_atom_site_fract_y
_atom_site_fract_z
Mg1 Mg 0.0000 0.2420 0.0000
Mg2 Mg 0.0000 0.5000 0.5000
Mg3 Mg 0.0000 0.7580 0.0000
Mg4 Mg 0.2328 0.5000 0.0000
Mg5 Mg 0.2365 0.2365 0.5000
Mg6 Mg 0.2365 0.7635 0.5000
Mg7 Mg 0.2420 0.0000 0.0000
Mg8 Mg 0.5000 0.0000 0.5000
Mg9 Mg 0.5000 0.2328 0.0000
Mg10 Mg 0.5000 0.7672 0.0000
Mg11 Mg 0.7580 0.0000 0.0000
Mg12 Mg 0.7635 0.2365 0.5000
Mg13 Mg 0.7635 0.7635 0.5000
Mg14 Mg 0.7672 0.5000 0.0000
Co1 Co 0.0000 0.0000 0.5000
Bi1 Bi 0.5000 0.5000 0.5000
O1 O 0.0000 0.0000 0.0000
O2 O 0.0000 0.2619 0.5000
O3 O 0.0000 0.5000 0.0000
O4 O 0.0000 0.7381 0.5000
O5 O 0.2343 0.5000 0.5000
O6 O 0.2514 0.2514 0.0000
O7 O 0.2514 0.7486 0.0000
O8 O 0.2619 0.0000 0.5000
O9 O 0.5000 0.0000 0.0000
O10 O 0.5000 0.2343 0.5000
O11 O 0.5000 0.5000 0.0000
O12 O 0.5000 0.7657 0.5000
O13 O 0.7381 0.0000 0.5000
O14 O 0.7486 0.2514 0.0000
O15 O 0.7486 0.7486 0.0000
O16 O 0.7657 0.5000 0.5000

---

One value per record, in order, for density: 4.10; 4.15; 3.15; 3.85; 5.72; 4.33 Mg/m³.